No. 1
Here is Cu2S after structural relaxation from the Materials Project. Energies are from GGA-PBE.

Results
Formation energy from the elements, eV/f.u.: -0.533
Symmetry: I-42d
E_tot, eV/atom: -4.121

a = 5.0433 Å, b = 5.0433 Å, c = 5.0433 Å
α = 98.73°, β = 98.73°, γ = 134.15°
Closest atoms and distances in Å follow each position.
Fractional coordinates of all 6 atoms:
Cu 0.3750 0.2113 0.3363  2 S 2.28
Cu 0.7887 0.1250 0.1637  2 S 2.28
Cu 0.8750 0.0387 0.6637  2 S 2.28
Cu 0.9613 0.6250 0.8363  2 S 2.28
S 0.2500 0.7500 0.5000  4 Cu 2.28
S 0.5000 0.5000 0.0000  4 Cu 2.28

No. 2
Here is Ba2CePaO6 after structural relaxation from the Materials Project. Energies are from GGA-PBE.

Results
Formation energy from the elements, eV/f.u.: -36.437
Symmetry: Fm-3m
E_tot, eV/atom: -8.129

a = 6.3942 Å, b = 6.3942 Å, c = 6.3942 Å
α = 60.00°, β = 60.00°, γ = 60.00°
Closest atoms and distances in Å follow each position.
Fractional coordinates of all 10 atoms:
Ba 0.2500 0.2500 0.2500  12 O 3.20
Ba 0.7500 0.7500 0.7500  12 O 3.20
Ce 0.0000 0.0000 0.0000  6 O 2.32
Pa 0.5000 0.5000 0.5000  6 O 2.20
O 0.2563 0.2563 0.7437  1 Pa 2.20, 1 Ce 2.32
O 0.2563 0.7437 0.2563  1 Pa 2.20, 1 Ce 2.32
O 0.2563 0.7437 0.7437  1 Pa 2.20, 1 Ce 2.32
O 0.7437 0.2563 0.2563  1 Pa 2.20, 1 Ce 2.32
O 0.7437 0.2563 0.7437  1 Pa 2.20, 1 Ce 2.32
O 0.7437 0.7437 0.2563  1 Pa 2.20, 1 Ce 2.32

No. 3
Here is Pr2CdSb4 after structural relaxation from the Materials Project. Energies are from GGA-PBE.

Results
Formation energy from the elements, eV/f.u.: -5.729
Symmetry: P-4m2
E_tot, eV/atom: -4.566

a = 4.4047 Å, b = 4.4047 Å, c = 10.8625 Å
α = 90.00°, β = 90.00°, γ = 90.00°
Closest atoms and distances in Å follow each position.
Fractional coordinates of all 7 atoms:
Pr 0.0000 0.5000 0.2356  8 Sb 3.27-3.38, 2 Cd 3.62
Pr 0.5000 0.0000 0.7644  8 Sb 3.27-3.38, 2 Cd 3.62
Cd 0.5000 0.5000 0.5000  4 Sb 2.89
Sb 0.0000 0.0000 0.0000  4 Sb 3.11, 4 Pr 3.38
Sb 0.0000 0.5000 0.6718  2 Cd 2.89
Sb 0.5000 0.0000 0.3282  2 Cd 2.89
Sb 0.5000 0.5000 0.0000  4 Sb 3.11, 4 Pr 3.38

No. 4
Here is AcSiO3 after structural relaxation from the Materials Project. Energies are from GGA-PBE.

Results
Formation energy from the elements, eV/f.u.: -14.341
Symmetry: Pm-3m
E_tot, eV/atom: -7.334

a = 3.9702 Å, b = 3.9702 Å, c = 3.9702 Å
α = 90.00°, β = 90.00°, γ = 90.00°
Closest atoms and distances in Å follow each position.
Fractional coordinates of all 5 atoms:
Ac 0.0000 0.0000 0.0000  12 O 2.81
Si 0.5000 0.5000 0.5000  6 O 1.99
O 0.0000 0.5000 0.5000  2 Si 1.99
O 0.5000 0.0000 0.5000  2 Si 1.99
O 0.5000 0.5000 0.0000  2 Si 1.99